Model a:
{
  "formula": "Na6MgMo2N2O6",
  "functional": "PBE with a Hubbard U",
  "state": "relaxed",
  "lattice_angstrom": [[6.006, -0.028, 0.000], [-0.019, 6.536, 0.000], [0.000, 0.000, 7.038]],
  "species": ["O", "O", "O", "O", "O", "O", "Na", "Na", "Na", "Na", "Na", "Na", "Mo", "Mo", "Mg", "N", "N"],
  "fractional_positions": [[0.120, 0.323, 0.749], [0.600, 0.090, 0.500], [0.622, 0.680, 0.719], [0.136, 0.930, 0.000], [0.120, 0.323, 0.251], [0.622, 0.680, 0.281], [0.505, 0.852, 0.000], [0.987, 0.056, 0.500], [0.990, 0.714, 0.212], [0.990, 0.714, 0.788], [0.549, 0.327, 0.254], [0.549, 0.327, 0.746], [0.497, 0.813, 0.500], [0.014, 0.204, 0.000], [0.144, 0.449, 0.500], [0.194, 0.750, 0.500], [0.727, 0.166, 0.000]],
  "sg": "Pm (6)",
  "crystal_system": "monoclinic"
}

=====

Model b:
{
  "formula": "Na6MgMo2N2O6",
  "functional": "PBE with a Hubbard U",
  "state": "relaxed",
  "lattice_angstrom": [[-3.432, 3.817, -1.789], [-2.585, 0.160, 5.865], [4.960, 5.344, 2.309]],
  "species": ["O", "O", "O", "O", "O", "O", "Mg", "Na", "Na", "Na", "Na", "Na", "Na", "N", "N", "Mo", "Mo"],
  "fractional_positions": [[0.570, 0.695, 0.291], [0.640, 0.718, 0.716], [0.083, 0.245, 0.766], [0.652, 0.098, 0.533], [0.055, 0.881, 0.961], [0.127, 0.344, 0.198], [0.904, 0.961, 0.710], [0.058, 0.219, 0.463], [0.540, 0.335, 0.267], [0.496, 0.835, 0.995], [0.005, 0.697, 0.235], [0.521, 0.329, 0.740], [0.037, 0.587, 0.781], [0.667, 0.187, 0.010], [0.151, 0.835, 0.527], [0.989, 0.180, 0.016], [0.477, 0.823, 0.496]],
  "sg": "P1 (1)",
  "crystal_system": "triclinic"
}

=====

Model c:
{
  "formula": "Na6MgMo2N2O6",
  "functional": "PBE with a Hubbard U",
  "state": "relaxed",
  "lattice_angstrom": [[5.761, 0.024, 0.000], [0.029, 6.522, 0.000], [0.000, 0.000, 7.157]],
  "species": ["O", "O", "O", "O", "O", "O", "Mg", "N", "N", "Na", "Na", "Na", "Na", "Na", "Na", "Mo", "Mo"],
  "fractional_positions": [[0.666, 0.641, 0.304], [0.666, 0.641, 0.696], [0.566, 0.099, 0.500], [0.068, 0.345, 0.776], [0.141, 0.950, 0.000], [0.068, 0.345, 0.224], [0.892, 0.539, 0.500], [0.157, 0.753, 0.500], [0.695, 0.168, 0.000], [0.542, 0.832, 0.000], [0.487, 0.320, 0.738], [0.487, 0.320, 0.262], [0.038, 0.707, 0.804], [0.979, 0.079, 0.500], [0.038, 0.707, 0.196], [0.478, 0.806, 0.500], [0.992, 0.206, 0.000]],
  "sg": "Pm (6)",
  "crystal_system": "monoclinic"
}

=====

Most favorable structure: model b. The second most favorable one is 0.058 eV/atom above it.

=====

Model a:
{
  "formula": "Na8MgMo2N4O4",
  "functional": "PBE with a Hubbard U",
  "state": "relaxed",
  "lattice_angstrom": [[-1.525, -4.106, 4.127], [3.769, -4.800, 0.019], [3.847, 2.338, 8.153]],
  "species": ["N", "N", "N", "N", "Na", "Na", "Na", "Na", "Na", "Na", "Na", "Na", "Mo", "Mo", "O", "O", "O", "O", "Mg"],
  "fractional_positions": [[0.312, 0.039, 0.351], [0.701, 0.018, 0.659], [0.206, 0.564, 0.650], [0.819, 0.442, 0.409], [0.095, 0.758, 0.413], [0.497, 0.822, 0.547], [0.613, 0.700, 0.174], [0.284, 0.216, 0.878], [0.633, 0.207, 0.299], [0.215, 0.745, 0.986], [0.732, 0.235, 0.963], [0.073, 0.249, 0.602], [0.124, 0.277, 0.262], [0.863, 0.749, 0.754], [0.322, 0.469, 0.184], [0.812, 0.831, 0.966], [0.040, 0.158, 0.110], [0.667, 0.530, 0.782], [0.584, 0.376, 0.627]],
  "sg": "P1 (1)",
  "crystal_system": "triclinic"
}

=====

Model b:
{
  "formula": "Na8MgMo2N4O4",
  "functional": "PBE with a Hubbard U",
  "state": "relaxed",
  "lattice_angstrom": [[5.337, -0.130, 1.928], [1.833, 5.763, 0.750], [-0.117, -0.177, 9.684]],
  "species": ["Na", "Na", "Na", "Na", "Na", "Na", "Na", "Na", "Mg", "Mo", "Mo", "O", "O", "O", "O", "N", "N", "N", "N"],
  "fractional_positions": [[0.515, 0.333, 0.414], [0.607, 0.782, 0.224], [0.463, 0.805, 0.557], [0.361, 0.305, 0.784], [0.258, 0.732, 0.996], [0.033, 0.790, 0.425], [0.928, 0.257, 0.599], [0.607, 0.108, 0.961], [0.812, 0.424, 0.030], [0.154, 0.305, 0.254], [0.874, 0.697, 0.757], [0.151, 0.222, 0.049], [0.453, 0.452, 0.164], [0.719, 0.430, 0.842], [0.856, 0.737, 0.972], [0.187, 0.567, 0.622], [0.855, 0.518, 0.355], [0.272, 0.070, 0.372], [0.677, 0.955, 0.687]],
  "sg": "P1 (1)",
  "crystal_system": "triclinic"
}

=====

Most favorable structure: model b. The second most favorable one is 0.024 eV/atom above it.

=====

Model a:
{
  "formula": "Na4MgMo4O10",
  "functional": "PBE with a Hubbard U",
  "state": "relaxed",
  "lattice_angstrom": [[5.685, -0.048, -1.676], [-0.652, 5.672, -1.785], [-0.433, -0.512, 7.943]],
  "species": ["O", "O", "O", "O", "O", "O", "O", "O", "O", "O", "Na", "Na", "Na", "Na", "Mo", "Mo", "Mo", "Mo", "Mg"],
  "fractional_positions": [[0.208, 0.756, 0.996], [0.689, 0.731, 0.924], [0.679, 0.739, 0.309], [0.704, 0.313, 0.516], [0.269, 0.293, 0.125], [0.275, 0.286, 0.690], [0.906, 0.936, 0.702], [0.737, 0.256, 0.012], [0.015, 0.083, 0.293], [0.171, 0.638, 0.495], [0.405, 0.940, 0.770], [0.889, 0.406, 0.837], [0.572, 0.045, 0.161], [0.077, 0.655, 0.207], [0.971, 0.002, 0.002], [0.328, 0.329, 0.449], [0.844, 0.603, 0.497], [0.474, 0.505, 0.000], [0.943, 0.077, 0.516]],
  "sg": "P1 (1)",
  "crystal_system": "triclinic"
}

=====

Model b:
{
  "formula": "Na4MgMo4O10",
  "functional": "PBE with a Hubbard U",
  "state": "relaxed",
  "lattice_angstrom": [[-0.850, -5.006, -2.928], [5.063, -2.110, 2.234], [-5.807, 0.828, 6.128]],
  "species": ["O", "O", "O", "O", "O", "O", "O", "O", "O", "O", "Mo", "Mo", "Mo", "Mo", "Na", "Na", "Na", "Na", "Mg"],
  "fractional_positions": [[0.904, 0.872, 0.715], [0.687, 0.658, 0.285], [0.749, 0.231, 0.987], [0.260, 0.258, 0.040], [0.302, 0.304, 0.694], [0.349, 0.728, 0.500], [0.735, 0.732, 0.962], [0.106, 0.109, 0.304], [0.628, 0.307, 0.500], [0.252, 0.758, 0.018], [0.002, 0.995, 0.007], [0.493, 0.488, 0.992], [0.197, 0.435, 0.499], [0.755, 0.614, 0.499], [0.060, 0.601, 0.170], [0.926, 0.359, 0.800], [0.392, 0.934, 0.829], [0.629, 0.058, 0.200], [0.406, 0.046, 0.498]],
  "sg": "P1 (1)",
  "crystal_system": "triclinic"
}

=====

Model c:
{
  "formula": "Na4MgMo4O10",
  "functional": "PBE with a Hubbard U",
  "state": "relaxed",
  "lattice_angstrom": [[-0.054, 0.220, 6.129], [5.519, -0.019, -0.034], [-2.761, 6.945, -2.765]],
  "species": ["O", "O", "O", "O", "O", "O", "O", "O", "O", "O", "Mo", "Mo", "Mo", "Mo", "Na", "Na", "Na", "Na", "Mg"],
  "fractional_positions": [[0.883, 0.090, 0.506], [0.980, 0.722, 0.697], [0.237, 0.251, 0.943], [0.319, 0.883, 0.456], [0.908, 0.704, 0.070], [0.735, 0.102, 0.879], [0.121, 0.283, 0.268], [0.348, 0.799, 0.050], [0.595, 0.546, 0.284], [0.467, 0.457, 0.692], [0.048, 0.975, 0.985], [0.186, 0.221, 0.505], [0.561, 0.483, 0.986], [0.674, 0.836, 0.565], [0.361, 0.869, 0.780], [0.636, 0.123, 0.237], [0.969, 0.660, 0.376], [0.892, 0.398, 0.778], [0.249, 0.583, 0.184]],
  "sg": "P1 (1)",
  "crystal_system": "triclinic"
}

=====

Most favorable structure: model c. The second most favorable one is 0.026 eV/atom above it.

=====

Model a:
{
  "formula": "Na4MgMo4O10",
  "functional": "PBE with a Hubbard U",
  "state": "relaxed",
  "lattice_angstrom": [[-4.688, 0.240, 3.118], [1.712, -4.952, 2.762], [5.318, 6.452, 2.337]],
  "species": ["Mo", "Mo", "Mo", "Mo", "O", "O", "O", "O", "O", "O", "O", "O", "O", "O", "Na", "Na", "Na", "Na", "Mg"],
  "fractional_positions": [[0.852, 0.644, 0.495], [0.511, 0.504, 0.992], [0.256, 0.407, 0.510], [0.022, 0.039, 0.007], [0.245, 0.744, 0.520], [0.778, 0.290, 0.918], [0.725, 0.628, 0.265], [0.255, 0.742, 0.026], [0.102, 0.149, 0.288], [0.948, 0.835, 0.736], [0.348, 0.258, 0.047], [0.649, 0.395, 0.542], [0.722, 0.761, 0.957], [0.248, 0.366, 0.725], [0.632, 0.081, 0.231], [0.389, 0.930, 0.827], [0.602, 0.055, 0.625], [0.111, 0.712, 0.230], [0.930, 0.523, 0.824]],
  "sg": "P1 (1)",
  "crystal_system": "triclinic"
}

=====

Model b:
{
  "formula": "Na4MgMo4O10",
  "functional": "PBE with a Hubbard U",
  "state": "relaxed",
  "lattice_angstrom": [[0.000, 0.000, 6.089], [5.982, -0.098, 0.000], [-3.109, 7.263, -3.044]],
  "species": ["Mo", "Mo", "Mo", "Mo", "O", "O", "O", "O", "O", "O", "O", "O", "O", "O", "Na", "Na", "Na", "Na", "Mg"],
  "fractional_positions": [[0.541, 0.500, 0.000], [0.675, 0.827, 0.508], [0.168, 0.173, 0.492], [0.053, 0.000, 0.000], [0.358, 0.814, 0.061], [0.176, 0.251, 0.295], [0.881, 0.749, 0.705], [0.394, 0.437, 0.705], [0.342, 0.881, 0.480], [0.688, 0.562, 0.295], [0.765, 0.212, 0.946], [0.297, 0.186, 0.939], [0.861, 0.119, 0.520], [0.819, 0.788, 0.054], [0.560, 0.245, 0.342], [0.217, 0.755, 0.658], [0.090, 0.573, 0.198], [0.892, 0.427, 0.802], [0.575, 0.000, 0.000]],
  "sg": "C2 (5)",
  "crystal_system": "monoclinic"
}

=====

Most favorable structure: model a. The second most favorable one is 0.020 eV/atom above it.